This record from the Materials Project describes a geometry-optimized Li2Mn2P2H12O15 structure. The functional is PBE with a Hubbard U.

Results
Formation enthalpy at 0 K: -1.781 eV per atom
Theoretical density: 2.2 Mg/m³
Magnetic moment: 7.999 μB/f.u.
Crystal system: monoclinic

a = 11.460 Å, b = 11.460 Å, c = 12.174 Å
α = 86.06°, β = 86.06°, γ = 24.67°
Positions (direct):
Li: 0.239 0.974 0.071
Li: 0.974 0.239 0.571
Li: 0.028 0.748 0.430
Li: 0.748 0.028 0.930
Mn: 0.425 0.070 0.124
Mn: 0.925 0.568 0.378
Mn: 0.070 0.425 0.624
Mn: 0.568 0.925 0.878
P: 0.821 0.504 0.213
P: 0.504 0.821 0.713
P: 0.491 0.171 0.288
P: 0.171 0.491 0.788
H: 0.469 0.561 0.149
H: 0.839 0.226 0.230
H: 0.561 0.469 0.649
H: 0.016 0.111 0.375
H: 0.226 0.839 0.730
H: 0.111 0.016 0.875
H: 0.269 0.960 0.394
H: 0.960 0.269 0.894
H: 0.900 0.628 0.066
H: 0.364 0.094 0.433
H: 0.628 0.900 0.566
H: 0.094 0.364 0.933
H: 0.027 0.733 0.109
H: 0.733 0.027 0.609
H: 0.884 0.981 0.125
H: 0.763 0.155 0.274
H: 0.981 0.884 0.625
H: 0.432 0.526 0.350
H: 0.262 0.723 0.057
H: 0.155 0.763 0.774
H: 0.269 0.736 0.440
H: 0.526 0.432 0.850
H: 0.723 0.262 0.557
H: 0.736 0.269 0.940
O: 0.350 0.709 0.092
O: 0.709 0.350 0.592
O: 0.148 0.012 0.431
O: 0.936 0.281 0.186
O: 0.012 0.148 0.931
O: 0.750 0.578 0.338
O: 0.281 0.936 0.686
O: 0.559 0.780 0.144
O: 0.578 0.750 0.838
O: 0.780 0.559 0.644
O: 0.049 0.398 0.190
O: 0.184 0.244 0.470
O: 0.398 0.049 0.690
O: 0.748 0.812 0.030
O: 0.244 0.184 0.970
O: 0.596 0.944 0.311
O: 0.812 0.748 0.530
O: 0.944 0.596 0.811
O: 0.217 0.433 0.358
O: 0.416 0.243 0.163
O: 0.433 0.217 0.858
O: 0.716 0.053 0.316
O: 0.243 0.416 0.663
O: 0.981 0.850 0.070
O: 0.053 0.716 0.816
O: 0.850 0.981 0.570
O: 0.281 0.651 0.405
O: 0.695 0.297 0.250
O: 0.651 0.281 0.905
O: 0.297 0.695 0.750